Density functional theory data (GGA+U) for Li3MnVP3O12 after structural relaxation.

total magnetization = 24.00 μB/cell
offset from the most stable computed form = 0.010 eV per atom
E (MP2020) = -610.0 eV/cell
ρ = 2.9 g cm⁻³
symmetry = P1, No. 1
formation enthalpy at 0 K = -255.3 kJ/mol of atoms
VASP energy = -7.0446 eV per atom

Lattice parameters (Å, degrees): 8.649 8.690 12.446 89.84 88.60 89.76
Fractional coordinates of all 80 atoms:
O (0.429, 0.093, 0.667)
O (0.200, 0.509, 0.199)
O (0.936, 0.324, 0.592)
O (0.449, 0.368, 0.936)
O (0.858, 0.023, 0.242)
O (0.332, 0.679, 0.935)
O (0.670, 0.454, 0.457)
O (0.916, 0.105, 0.849)
O (0.852, 0.779, 0.820)
O (0.655, 0.241, 0.313)
O (0.886, 0.637, 0.573)
O (0.083, 0.894, 0.152)
O (0.832, 0.832, 0.430)
O (0.422, 0.395, 0.351)
O (0.953, 0.136, 0.432)
O (0.643, 0.094, 0.523)
O (0.574, 0.604, 0.657)
O (0.353, 0.475, 0.748)
O (0.173, 0.167, 0.564)
O (0.146, 0.257, 0.805)
O (0.135, 0.398, 0.016)
O (0.833, 0.955, 0.048)
O (0.647, 0.279, 0.679)
O (0.353, 0.718, 0.322)
O (0.696, 0.989, 0.707)
O (0.550, 0.640, 0.068)
O (0.112, 0.365, 0.421)
O (0.851, 0.738, 0.188)
O (0.304, 0.009, 0.296)
O (0.809, 0.492, 0.783)
O (0.341, 0.760, 0.692)
O (0.137, 0.973, 0.756)
O (0.170, 0.042, 0.949)
O (0.325, 0.539, 0.555)
O (0.049, 0.865, 0.564)
O (0.931, 0.406, 0.164)
O (0.571, 0.906, 0.334)
O (0.611, 0.139, 0.924)
O (0.433, 0.177, 0.095)
O (0.072, 0.594, 0.835)
O (0.068, 0.675, 0.405)
O (0.360, 0.901, 0.479)
O (0.849, 0.585, 0.972)
O (0.647, 0.525, 0.262)
O (0.395, 0.871, 0.080)
O (0.569, 0.830, 0.908)
O (0.667, 0.333, 0.070)
O (0.148, 0.219, 0.176)
Li (0.580, 0.404, 0.803)
Li (0.088, 0.700, 0.242)
Li (0.922, 0.296, 0.755)
Li (0.208, 0.780, 0.826)
Li (0.581, 0.800, 0.744)
Li (0.415, 0.202, 0.260)
Li (0.418, 0.593, 0.197)
Li (0.711, 0.725, 0.322)
Li (0.084, 0.092, 0.302)
Li (0.792, 0.223, 0.177)
Li (0.288, 0.277, 0.676)
Li (0.917, 0.907, 0.695)
V (0.751, 0.467, 0.608)
V (0.253, 0.958, 0.611)
V (0.747, 0.043, 0.389)
V (0.754, 0.543, 0.111)
P (0.098, 0.095, 0.846)
P (0.604, 0.111, 0.643)
P (0.461, 0.755, 0.997)
P (0.042, 0.249, 0.504)
P (0.393, 0.597, 0.657)
P (0.395, 0.887, 0.359)
P (0.603, 0.404, 0.351)
P (0.961, 0.751, 0.493)
P (0.539, 0.252, 0.006)
P (0.902, 0.902, 0.152)
P (0.107, 0.387, 0.138)
P (0.895, 0.611, 0.854)
Mn (0.253, 0.038, 0.102)
Mn (0.250, 0.537, 0.400)
Mn (0.246, 0.457, 0.891)
Mn (0.748, 0.965, 0.896)